# 1
Compound: Sr2GdMgRuO6
Source: the Materials Project database
Functional: PBE
Structure: relaxed

Structure (POSCAR):
```
Sr2GdMgRuO6
1.0
2.8924 3.5086 4.5243
2.8899 -2.9486 4.0972
5.7493 0.0378 0.0218
Sr Gd Mg Ru O
2 1 1 1 6
Cartesian
2.7576 1.0034 2.8058 Sr
8.4816 0.7740 6.7455 Sr
8.5137 -2.7602 4.2514 Gd
5.4941 2.1421 5.7610 Mg
5.6821 0.0271 4.1725 Ru
6.5698 -0.3140 2.1195 O
5.1218 0.3180 6.3375 O
4.5285 1.9883 4.0524 O
7.1392 1.4960 4.7792 O
6.5444 -1.7996 4.5623 O
3.9739 -1.0972 3.4171 O
```

Calculated values
Its space group is No. 1.

=====

# 2
Compound: MgCuSi2O6
Source: the Materials Project database
Functional: PBE
Structure: relaxed

Structure (POSCAR):
```
MgCuSi2O6
1.0
5.2827 0.0000 0.0000
0.0000 9.0388 0.0000
0.0000 0.0000 18.4225
Mg Cu Si O
8 8 16 48
Cartesian
3.2423 1.3747 6.9229 Mg
2.0403 7.6641 11.4996 Mg
3.2423 5.8941 2.2883 Mg
0.6010 7.6641 2.2883 Mg
4.6817 1.3747 16.1341 Mg
2.0403 3.1447 16.1341 Mg
0.6010 3.1447 6.9229 Mg
4.6817 5.8941 11.4996 Mg
2.0093 8.9712 16.1291 Cu
3.2733 0.0676 2.2933 Cu
4.6507 0.0676 11.5046 Cu
0.6320 8.9712 6.9179 Cu
2.0093 4.4518 11.5046 Cu
3.2733 4.5870 6.9179 Cu
4.6507 4.5870 16.1291 Cu
0.6320 4.4518 2.2933 Cu
3.0349 5.9824 14.2637 Si
3.8405 7.5583 8.7306 Si
4.0835 7.5583 17.9418 Si
4.8891 1.4630 4.1587 Si
0.3935 3.0564 13.3700 Si
2.2478 7.5758 5.0525 Si
1.1992 5.9999 8.7306 Si
3.8405 3.0389 0.4807 Si
4.0835 3.0389 9.6919 Si
4.8891 5.9824 5.0525 Si
2.2478 3.0564 4.1587 Si
3.0349 1.4630 13.3700 Si
1.4421 1.4805 9.6919 Si
0.3935 7.5758 14.2637 Si
1.4421 5.9999 17.9418 Si
1.1992 1.4805 0.4807 Si
4.8553 4.5237 5.7791 O
1.6353 0.1222 1.2630 O
0.4273 4.5151 12.6433 O
3.7875 3.0684 17.2578 O
1.1462 1.4510 17.2578 O
4.9303 1.8729 0.9332 O
4.9286 6.0222 3.4316 O
0.3541 7.5360 12.6428 O
3.7875 7.5878 10.3759 O
4.9286 1.5028 5.7797 O
2.2140 4.5151 3.4321 O
4.1365 3.0684 8.0466 O
3.6473 8.9166 17.1594 O
2.2872 7.5360 3.4316 O
3.0687 0.0043 12.6433 O
1.6353 4.6416 7.9482 O
2.2140 9.0345 5.7791 O
0.8392 6.9146 5.6306 O
1.8022 6.9146 14.8418 O
2.9937 6.3923 17.4893 O
4.1365 7.5878 1.1646 O
2.9954 6.0222 12.6428 O
4.2767 4.3972 1.2630 O
0.8392 2.3952 3.5806 O
1.4952 1.4510 8.0466 O
2.9954 1.5028 14.9909 O
3.6473 4.3972 10.4743 O
1.1462 5.9704 10.3759 O
1.0060 4.6416 17.1594 O
3.4805 6.6436 5.6306 O
0.4273 9.0345 14.9904 O
4.4435 6.6436 14.8418 O
4.4435 2.1242 12.7919 O
4.2767 8.9166 7.9482 O
1.4952 5.9704 1.1646 O
1.0060 0.1222 10.4743 O
1.8022 2.3952 12.7919 O
0.3524 7.1659 17.4893 O
2.2889 7.1659 8.2780 O
3.4805 2.1242 3.5806 O
2.2889 2.6465 0.9332 O
2.9937 1.8729 10.1444 O
0.3524 2.6465 10.1444 O
2.2872 3.0166 5.7797 O
3.0687 4.5237 14.9904 O
4.9303 6.3923 8.2780 O
0.3541 3.0166 14.9909 O
4.8553 0.0043 3.4321 O
```

Calculated values
Its space group is No. 61.

=====

# 3
Compound: K2RbDyCl6
Source: the Materials Project database
Functional: PBE
Structure: relaxed

Structure (POSCAR):
```
K2RbDyCl6
1.0
-0.9694 -1.2470 7.9533
-7.4191 0.2249 3.2644
-3.4775 -6.8335 2.6382
K Rb Dy Cl
2 1 1 6
Cartesian
-8.8995 -5.8916 10.3920 K
-2.9665 -1.9639 3.4640 K
-5.9330 -3.9278 6.9280 Rb
0.0000 0.0000 0.0000 Dy
-3.2481 -2.4777 7.4826 Cl
-4.6047 -5.4995 4.6075 Cl
-8.6179 -5.3779 6.3734 Cl
-6.7368 -1.6815 4.9463 Cl
-5.1291 -6.1741 8.9097 Cl
-7.2612 -2.3560 9.2484 Cl
```

Calculated values
Its space group is No. 225.

=====

# 4
Compound: CaSn2O4
Source: the Materials Project database
Functional: PBE
Structure: relaxed

Structure (POSCAR):
```
CaSn2O4
1.0
-3.0968 1.9754 5.6966
-4.3715 3.2733 -4.0149
1.0235 -6.6985 -0.1630
Ca Sn O
2 4 8
Cartesian
-3.7342 2.6243 0.8409 Ca
-1.6740 -1.7126 -2.0889 Ca
-4.9816 -0.9330 -0.0774 Sn
-1.4632 -0.5168 1.5962 Sn
0.5118 -3.3492 -0.0815 Sn
-2.1857 1.6367 -2.0074 Sn
-1.2324 -2.1697 0.2717 O
-0.7209 -5.0649 -0.1043 O
-2.8528 -3.8274 -1.7503 O
-3.0545 -1.3509 3.5553 O
-3.3902 -0.0989 -2.0366 O
-5.7239 3.6152 1.6230 O
-3.5920 2.3776 3.2690 O
-5.2123 0.7199 1.2470 O
```

Calculated values
Its space group is No. 74.

=====

# 5
Compound: Na9Ca11TaS18O72
Source: the Materials Project database
Functional: PBE
Structure: relaxed

Structure (POSCAR):
```
Na9Ca11TaS18O72
1.0
9.2279 -0.0234 -0.0119
-4.6343 7.9828 0.0082
-0.0309 0.0061 24.1840
Na Ca Ta S O
9 11 1 18 72
Cartesian
1.6512 2.8824 6.1500 Na
-1.7017 7.7527 2.1583 Na
7.5438 2.4122 10.1454 Na
4.6481 7.8370 12.1492 Na
4.4592 7.9582 0.1523 Na
4.5820 2.6487 20.0867 Na
4.6025 2.6552 8.1707 Na
-0.0158 5.3193 4.1680 Na
-0.0301 5.3225 15.7241 Na
4.6037 7.8487 8.4673 Ca
-4.6504 7.9850 20.5513 Ca
-0.0219 0.0144 15.6788 Ca
4.4788 7.9257 3.6825 Ca
4.5922 2.6539 16.4178 Ca
4.7133 2.6891 4.4354 Ca
4.5933 2.6939 23.7088 Ca
4.5058 2.6524 11.7610 Ca
0.0318 5.2411 0.4567 Ca
0.0019 5.3596 12.4917 Ca
-0.0456 5.4301 7.7267 Ca
-0.0401 5.3187 19.7285 Ta
2.7515 0.0136 5.9608 S
3.1656 5.5191 6.0308 S
-1.3595 2.4056 6.0985 S
1.3242 2.4847 18.2543 S
-3.1756 5.5746 18.2615 S
1.7440 7.9076 18.2534 S
7.3785 2.6456 14.0794 S
3.2008 0.2354 14.1412 S
3.1834 5.0578 14.1386 S
5.9884 5.0769 1.9654 S
5.9614 0.2789 1.9588 S
1.8733 2.6132 2.0326 S
2.5908 5.3009 22.0735 S
-1.3656 3.0443 22.0724 S
-1.3488 7.5970 22.1122 S
1.3744 7.7633 10.0823 S
1.3417 2.9247 10.0071 S
-2.7805 5.2851 10.0956 S
1.8421 0.1538 7.1190 O
3.6859 6.1818 7.2332 O
8.1592 1.6223 7.3227 O
1.0405 1.6528 19.4287 O
5.4735 6.2149 19.4257 O
7.2455 0.0922 19.4198 O
2.4797 7.5801 17.0440 O
0.6738 2.0057 17.0438 O
-3.2627 6.3762 17.0518 O
3.4769 6.2832 4.8114 O
-0.7995 1.7086 4.9083 O
-2.6608 7.8612 4.6984 O
6.5033 2.7556 15.2773 O
3.7101 0.9028 15.3687 O
3.5032 4.2841 15.3674 O
5.6869 4.3042 3.1794 O
5.4153 0.9367 3.1635 O
2.6659 2.7384 3.2766 O
2.7644 2.4831 0.8442 O
5.4788 4.4094 0.7530 O
5.6620 1.0671 0.7380 O
3.5195 1.0184 12.9341 O
3.7015 4.3898 12.9321 O
6.5818 2.5331 12.8319 O
1.8130 5.4243 23.3029 O
-0.8715 3.6584 23.3005 O
-1.0733 6.8851 23.3595 O
1.0599 6.9765 11.2754 O
0.7630 3.6388 11.1624 O
-1.9395 5.4176 11.2941 O
-1.9405 5.1444 8.8745 O
0.8649 7.1203 8.8556 O
1.0713 3.6650 8.7358 O
-0.9209 3.9336 20.8794 O
-0.7861 6.7559 20.9296 O
1.5994 5.2400 20.8816 O
-3.6687 6.4630 10.0029 O
2.8647 7.9420 10.0050 O
0.6467 1.5936 9.9496 O
-0.7605 1.7172 21.9059 O
-2.8018 7.7275 21.9237 O
3.4376 6.4910 21.9071 O
8.2271 1.4247 14.1982 O
1.7165 0.1011 14.2263 O
3.8117 6.4096 14.2225 O
5.3972 6.4562 2.0343 O
7.4273 0.0867 2.0434 O
1.0591 1.3468 2.0780 O
5.4482 1.0489 18.1189 O
2.7625 2.7348 18.1258 O
5.5490 4.1824 18.1233 O
3.7525 4.1389 5.9632 O
6.4071 2.5565 5.9689 O
3.5510 1.2829 5.9113 O
3.3687 4.0563 22.0231 O
6.3940 2.9709 22.0097 O
3.9645 0.9193 22.0378 O
5.4237 1.1625 10.1446 O
2.8041 2.7449 10.1266 O
5.6401 3.9955 10.1575 O
0.9840 3.7857 1.9217 O
-1.7508 5.2919 1.9109 O
0.6308 6.9323 1.8887 O
-0.8122 6.8714 14.0736 O
1.7066 5.1945 14.0632 O
-0.9866 3.8781 14.0449 O
-0.9993 6.8210 6.0866 O
1.6778 5.3397 6.0975 O
-0.6686 3.7385 6.1413 O
0.6641 3.8908 18.5606 O
-1.6301 5.4383 18.5722 O
0.8466 6.6420 18.5667 O
```

Calculated values
Its space group is No. 1.

=====

# 6
Compound: CaHo2Te4
Source: the Materials Project database
Functional: PBE
Structure: relaxed

Structure (POSCAR):
```
CaHo2Te4
1.0
4.4061 0.0000 0.0000
0.0000 7.5156 0.0000
0.0000 2.3755 7.3876
Ca Ho Te
1 2 4
Cartesian
0.0000 4.9456 3.6938 Ca
0.0000 0.0000 0.0000 Ho
2.2031 3.7578 0.0000 Ho
2.2031 6.2909 1.8015 Te
0.0000 2.4742 1.7482 Te
2.2031 3.6003 5.5860 Te
0.0000 7.4170 5.6394 Te
```

Calculated values
Its space group is No. 10.

=====

# 7
Compound: Al11O18
Source: the Materials Project database
Functional: PBE
Structure: relaxed

Structure (POSCAR):
```
Al11O18
1.0
-21.6604 7.0120 2.0600
-0.6564 -0.3825 -5.6001
-1.7901 -4.8525 -2.3053
Al O
22 36
Cartesian
-12.1804 1.9324 -1.5548 Al
-11.9265 -0.1553 -4.2905 Al
-2.1646 -3.3155 -5.2189 Al
-21.9423 5.0925 -0.6264 Al
-14.2871 2.3162 -4.1825 Al
-15.1819 -0.1029 -5.3332 Al
-14.8570 0.0907 -2.5421 Al
-9.8198 -0.5392 -1.6628 Al
-8.9250 1.8799 -0.5122 Al
-9.2500 1.6863 -3.3032 Al
-3.6151 -2.5479 -2.2529 Al
-2.7243 -0.1274 -1.1019 Al
-3.0549 -0.3192 -3.8923 Al
-20.4918 4.3249 -3.5924 Al
-21.3826 1.9045 -4.7434 Al
-21.0520 2.0962 -1.9530 Al
-10.8302 3.5060 1.0300 Al
0.0000 0.0000 0.0000 Al
-15.4410 2.9995 -1.2322 Al
-8.6660 -1.2225 -4.6131 Al
-5.4341 -2.2687 -4.9205 Al
-18.6728 4.0458 -0.9248 Al
-14.5295 4.1063 -4.2817 O
-9.5775 -2.3292 -1.5636 O
-4.8315 -3.8657 -2.0150 O
-19.2755 5.6427 -3.8303 O
-13.2326 0.4700 -1.3304 O
-12.2844 3.0274 -0.1123 O
-12.6333 2.8248 -3.0685 O
-10.8744 1.3070 -4.5150 O
-11.8225 -1.2504 -5.7330 O
-11.4737 -1.0477 -2.7768 O
-2.1900 -1.5043 -5.3409 O
-3.1303 -4.0643 -6.5597 O
-2.7851 -3.8605 -3.6031 O
-21.9169 3.2814 -0.5044 O
-20.9767 5.8413 0.7144 O
-21.3218 5.6375 -2.2422 O
-13.6652 0.4083 -4.1231 O
-10.4417 1.3688 -1.7223 O
-2.0214 -1.3571 -2.5231 O
-22.0855 3.1341 -3.3222 O
-16.0748 -0.5158 -3.7803 O
-15.2003 1.9018 -2.6326 O
-15.5122 1.7024 -5.4107 O
-8.0322 2.2928 -2.0650 O
-8.9066 -0.1248 -3.2127 O
-8.5947 0.0746 -0.4346 O
-3.4598 0.8126 -2.4999 O
-4.3654 -1.5949 -3.6446 O
-4.0232 -1.4053 -0.8694 O
-20.6471 0.9644 -3.3455 O
-19.7415 3.3720 -2.2007 O
-20.0837 3.1823 -4.9759 O
-17.7661 2.1274 -3.7865 O
-6.3408 -0.3503 -2.0588 O
-17.0366 3.5583 -0.9863 O
-7.0704 -1.7813 -4.8590 O
```

Calculated values
Its space group is No. 11.

=====

# 8
Compound: Cs2Li3GaO4
Source: the Materials Project database
Functional: PBE
Structure: relaxed

Structure (POSCAR):
```
Cs2Li3GaO4
1.0
-2.5456 5.0642 6.0090
2.5456 -5.0642 6.0090
2.5456 5.0642 -6.0090
Cs Li Ga O
4 6 2 8
Cartesian
1.2147 3.7724 0.0000 Cs
1.3309 1.2918 6.0090 Cs
-1.2147 3.7724 6.0090 Cs
3.7603 1.2918 0.0000 Cs
2.5456 2.4335 3.0045 Li
0.0000 7.4977 3.0045 Li
2.5456 -2.4335 3.0045 Li
2.5456 0.0000 3.0045 Li
0.0000 2.6307 3.0045 Li
0.0000 5.0642 3.0045 Li
0.0000 0.0000 9.0135 Ga
0.0000 0.0000 3.0045 Ga
3.9092 -1.1900 2.1128 O
1.1820 -1.1900 3.8962 O
1.3636 6.2541 2.1128 O
1.1820 -1.1900 8.1219 O
-1.3636 6.2541 3.8962 O
1.3636 3.8742 3.8962 O
1.3636 6.2541 -2.1128 O
1.1820 1.1900 2.1128 O
```

Calculated values
Its space group is No. 72.

=====

no.,formation energy (eV per formula unit),electronic total energy (eV for the cell shown)
1,-28.8,-82.745
2,-27.4,-555.754
3,-24.0,-39.240
4,-16.2,-86.488
5,-272.6,-699.634
6,-11.9,-33.960
7,-90.8,-417.433
8,-20.1,-95.292